(1)
# Sr3U11O36 PBE optimized geometry
data_Sr3U11O36
_chemical_formula_sum 'Sr6 U22 O72'
_cell_length_a 8.479
_cell_length_b 28.803
_cell_length_c 6.790
_cell_angle_alpha 90.00
_cell_angle_beta 90.00
_cell_angle_gamma 90.00
_symmetry_space_group_name_H-M 'P m m n'
_symmetry_Int_Tables_number 59
loop_
_symmetry_equiv_pos_as_xyz
'x,y,z'
'-x,-y,-z'
'-x+1/2,-y+1/2,z'
'x+1/2,y+1/2,-z'
'x+1/2,-y,-z'
'-x+1/2,y,z'
'-x,y+1/2,-z'
'x,-y+1/2,z'
loop_
_atom_site_label
_atom_site_type_symbol
_atom_site_fract_x
_atom_site_fract_y
_atom_site_fract_z
Sr1 Sr 0.250 0.105 0.183
Sr2 Sr 0.250 0.250 0.264
U1 U 0.250 0.031 0.727
U2 U 0.250 0.177 0.722
U3 U 0.250 0.537 0.276
U4 U 0.250 0.616 0.749
U5 U 0.250 0.678 0.280
U6 U 0.250 0.750 0.822
O1 O 0.014 0.678 0.279
O2 O 0.022 0.533 0.279
O3 O 0.032 0.615 0.750
O4 O 0.032 0.750 0.818
O5 O 0.250 0.022 0.016
O6 O 0.250 0.039 0.438
O7 O 0.250 0.101 0.789
O8 O 0.250 0.168 0.446
O9 O 0.250 0.185 0.000
O10 O 0.250 0.250 0.656
O11 O 0.250 0.536 0.639
O12 O 0.250 0.576 0.027
O13 O 0.250 0.609 0.406
O14 O 0.250 0.676 0.967
O15 O 0.250 0.693 0.584
O16 O 0.250 0.750 0.188
# Formation energy from the elements ... -183.21 eV per formula unit
# Energy ... -9.32 eV/atom

(2)
# LiCuPO4 PBE optimized geometry
data_LiCuPO4
_chemical_formula_sum 'Li4 Cu4 P4 O16'
_cell_length_a 10.307
_cell_length_b 6.173
_cell_length_c 4.798
_cell_angle_alpha 90.00
_cell_angle_beta 90.00
_cell_angle_gamma 90.00
_symmetry_space_group_name_H-M 'P n m a'
_symmetry_Int_Tables_number 62
loop_
_symmetry_equiv_pos_as_xyz
'x,y,z'
'-x,-y,-z'
'-x+1/2,-y,z+1/2'
'x+1/2,y,-z+1/2'
'x+1/2,-y+1/2,-z+1/2'
'-x+1/2,y+1/2,z+1/2'
'-x,y+1/2,-z'
'x,-y+1/2,z'
loop_
_atom_site_label
_atom_site_type_symbol
_atom_site_fract_x
_atom_site_fract_y
_atom_site_fract_z
Li1 Li 0.218 0.250 0.035
Cu1 Cu 0.000 0.000 0.500
P1 P 0.096 0.750 0.106
O1 O 0.048 0.250 0.764
O2 O 0.100 0.750 0.789
O3 O 0.155 0.542 0.239
# Formation energy from the elements ... -15.20 eV per formula unit
# Relative energy among the computed polymorphs ... 0.025 eV per atom
# Energy ... -6.24 eV/atom

(3)
# NiS2 PBE optimized geometry
data_NiS2
_chemical_formula_sum 'Ni3 S6'
_cell_length_a 3.3430
_cell_length_b 3.3430
_cell_length_c 21.2754
_cell_angle_alpha 90.00
_cell_angle_beta 90.00
_cell_angle_gamma 120.00
_symmetry_space_group_name_H-M 'R -3 m'
_symmetry_Int_Tables_number 166
_symmetry_space_group_name_Hall '-R 3 2"'
loop_
_atom_site_label
_atom_site_type_symbol
_atom_site_fract_x
_atom_site_fract_y
_atom_site_fract_z
Ni1 Ni 0.0000 0.0000 0.0000
S1 S 0.0000 0.0000 0.3889
# Formation energy from the elements ... -1.67 eV per formula unit
# Energy ... -4.91 eV/atom